VASP calculation (PBE) on a geometry-optimized DySiPt structure.

Cell lengths 7.023, 4.292, 7.479 Å; angles 90.00, 90.00, 90.00 degrees
Fractional positions:
Dy1 0.003 0.250 0.200
Dy2 0.497 0.750 0.700
Dy3 0.503 0.250 0.300
Dy4 0.997 0.750 0.800
Si1 0.187 0.250 0.588
Si2 0.313 0.750 0.088
Si3 0.687 0.250 0.912
Si4 0.813 0.750 0.412
Pt1 0.199 0.750 0.415
Pt2 0.301 0.250 0.915
Pt3 0.699 0.750 0.085
Pt4 0.801 0.250 0.585

Output
Its total energy is -6.560 eV/atom.



VASP calculation (PBE) on a geometry-optimized LiLa5Ti8O24 structure.

Cell lengths 7.769, 7.852, 7.821 Å; angles 90.00, 90.00, 90.00 degrees
Fractional positions:
Li1 0.000 0.000 0.000
La1 0.000 0.500 0.340
La2 0.000 0.500 0.848
La3 0.500 0.000 0.822
La4 0.500 0.500 0.348
La5 0.500 0.500 0.830
Ti1 0.245 0.238 0.587
Ti2 0.245 0.762 0.587
Ti3 0.250 0.241 0.096
Ti4 0.250 0.759 0.096
Ti5 0.750 0.241 0.096
Ti6 0.750 0.759 0.096
Ti7 0.755 0.238 0.587
Ti8 0.755 0.762 0.587
O1 0.000 0.233 0.083
O2 0.000 0.298 0.594
O3 0.000 0.702 0.594
O4 0.000 0.767 0.083
O5 0.211 0.500 0.091
O6 0.239 0.000 0.614
O7 0.248 0.271 0.340
O8 0.248 0.729 0.340
O9 0.260 0.271 0.840
O10 0.260 0.729 0.840
O11 0.274 0.000 0.064
O12 0.286 0.500 0.586
O13 0.500 0.233 0.600
O14 0.500 0.292 0.092
O15 0.500 0.708 0.092
O16 0.500 0.767 0.600
O17 0.714 0.500 0.586
O18 0.726 0.000 0.064
O19 0.740 0.271 0.840
O20 0.740 0.729 0.840
O21 0.752 0.271 0.340
O22 0.752 0.729 0.340
O23 0.761 0.000 0.614
O24 0.789 0.500 0.091

Output
Its total energy is -8.691 eV/atom. Its energy above the most stable polymorph in this dataset is 0 meV/atom. The value obtained for the total energy after the MP2020 corrections is -346.76 eV for the cell shown.



VASP calculation (PBE) on a geometry-optimized Fe2As structure.

Cell lengths 3.664, 3.664, 5.809 Å; angles 90.00, 90.00, 90.00 degrees
Fractional positions:
Fe1 0.250 0.250 0.182
Fe2 0.250 0.750 0.500
Fe3 0.750 0.250 0.500
Fe4 0.750 0.750 0.818
As1 0.250 0.250 0.765
As2 0.750 0.750 0.235

Output
Its total energy is -7.268 eV/atom.



VASP calculation (PBE) on a geometry-optimized Sm15Ni28P21 structure.

Cell lengths 24.307, 24.307, 3.918 Å; angles 90.00, 90.00, 120.00 degrees
Fractional positions:
Sm1 0.069 0.242 0.250
Sm2 0.092 0.413 0.250
Sm3 0.117 0.585 0.250
Sm4 0.143 0.757 0.250
Sm5 0.172 0.931 0.250
Sm6 0.242 0.172 0.750
Sm7 0.243 0.386 0.250
Sm8 0.266 0.559 0.250
Sm9 0.293 0.734 0.250
Sm10 0.321 0.908 0.250
Sm11 0.386 0.143 0.750
Sm12 0.413 0.321 0.750
Sm13 0.415 0.532 0.250
Sm14 0.441 0.707 0.250
Sm15 0.468 0.883 0.250
Sm16 0.532 0.117 0.750
Sm17 0.559 0.293 0.750
Sm18 0.585 0.468 0.750
Sm19 0.587 0.679 0.250
Sm20 0.614 0.857 0.250
Sm21 0.679 0.092 0.750
Sm22 0.707 0.266 0.750
Sm23 0.734 0.441 0.750
Sm24 0.757 0.614 0.750
Sm25 0.758 0.828 0.250
Sm26 0.828 0.069 0.750
Sm27 0.857 0.243 0.750
Sm28 0.883 0.415 0.750
Sm29 0.908 0.587 0.750
Sm30 0.931 0.758 0.750
Ni1 0.006 0.543 0.750
Ni2 0.019 0.629 0.250
Ni3 0.031 0.716 0.750
Ni4 0.035 0.100 0.250
Ni5 0.043 0.802 0.250
Ni6 0.061 0.888 0.750
Ni7 0.065 0.965 0.250
Ni8 0.100 0.065 0.750
Ni9 0.112 0.173 0.750
Ni10 0.135 0.346 0.750
Ni11 0.160 0.520 0.750
Ni12 0.173 0.061 0.250
Ni13 0.185 0.692 0.750
Ni14 0.198 0.240 0.250
Ni15 0.211 0.865 0.750
Ni16 0.240 0.043 0.750
Ni17 0.284 0.316 0.750
Ni18 0.308 0.493 0.750
Ni19 0.316 0.031 0.250
Ni20 0.333 0.667 0.750
Ni21 0.346 0.211 0.250
Ni22 0.360 0.840 0.750
Ni23 0.371 0.389 0.250
Ni24 0.389 0.019 0.750
Ni25 0.457 0.463 0.750
Ni26 0.463 0.006 0.250
Ni27 0.480 0.640 0.750
Ni28 0.493 0.185 0.250
Ni29 0.507 0.815 0.750
Ni30 0.520 0.360 0.250
Ni31 0.537 0.994 0.750
Ni32 0.543 0.537 0.250
Ni33 0.611 0.981 0.250
Ni34 0.629 0.611 0.750
Ni35 0.640 0.160 0.250
Ni36 0.654 0.789 0.750
Ni37 0.667 0.333 0.250
Ni38 0.684 0.969 0.750
Ni39 0.692 0.507 0.250
Ni40 0.716 0.684 0.250
Ni41 0.760 0.957 0.250
Ni42 0.789 0.135 0.250
Ni43 0.802 0.760 0.750
Ni44 0.815 0.308 0.250
Ni45 0.827 0.939 0.750
Ni46 0.840 0.480 0.250
Ni47 0.865 0.654 0.250
Ni48 0.888 0.827 0.250
Ni49 0.900 0.935 0.250
Ni50 0.935 0.035 0.750
Ni51 0.939 0.112 0.250
Ni52 0.957 0.198 0.750
Ni53 0.965 0.900 0.750
Ni54 0.969 0.284 0.250
Ni55 0.981 0.371 0.750
Ni56 0.994 0.457 0.250
P1 0.005 0.136 0.750
P2 0.029 0.307 0.750
P3 0.053 0.480 0.750
P4 0.079 0.652 0.750
P5 0.104 0.823 0.750
P6 0.131 0.995 0.750
P7 0.136 0.131 0.250
P8 0.177 0.281 0.750
P9 0.200 0.453 0.750
P10 0.226 0.627 0.750
P11 0.252 0.800 0.750
P12 0.279 0.971 0.750
P13 0.281 0.104 0.250
P14 0.307 0.279 0.250
P15 0.348 0.427 0.750
P16 0.373 0.600 0.750
P17 0.400 0.774 0.750
P18 0.426 0.947 0.750
P19 0.427 0.079 0.250
P20 0.453 0.252 0.250
P21 0.480 0.426 0.250
P22 0.520 0.574 0.750
P23 0.547 0.748 0.750
P24 0.573 0.921 0.750
P25 0.574 0.053 0.250
P26 0.600 0.226 0.250
P27 0.627 0.400 0.250
P28 0.652 0.573 0.250
P29 0.693 0.721 0.750
P30 0.719 0.896 0.750
P31 0.721 0.029 0.250
P32 0.748 0.200 0.250
P33 0.774 0.373 0.250
P34 0.800 0.547 0.250
P35 0.823 0.719 0.250
P36 0.864 0.869 0.750
P37 0.869 0.005 0.250
P38 0.896 0.177 0.250
P39 0.921 0.348 0.250
P40 0.947 0.520 0.250
P41 0.971 0.693 0.250
P42 0.995 0.864 0.250

Output
Its total energy is -6.437 eV/atom.



VASP calculation (PBE) on a geometry-optimized ErAgS2 structure.

Cell lengths 7.661, 7.662, 12.200 Å; angles 90.00, 90.09, 90.00 degrees
Fractional positions:
Er1 0.001 0.000 0.245
Er2 0.247 0.248 0.503
Er3 0.253 0.748 0.002
Er4 0.498 0.494 0.254
Er5 0.502 0.994 0.746
Er6 0.747 0.248 0.998
Er7 0.753 0.748 0.497
Er8 0.999 0.500 0.755
Ag1 0.003 0.000 0.704
Ag2 0.248 0.250 0.019
Ag3 0.255 0.748 0.515
Ag4 0.497 0.497 0.780
Ag5 0.503 0.997 0.220
Ag6 0.745 0.248 0.485
Ag7 0.752 0.750 0.981
Ag8 0.997 0.500 0.296
S1 0.018 0.516 0.531
S2 0.021 0.020 0.021
S3 0.226 0.272 0.280
S4 0.231 0.228 0.730
S5 0.271 0.728 0.778
S6 0.271 0.770 0.228
S7 0.478 0.477 0.030
S8 0.487 0.986 0.521
S9 0.513 0.486 0.479
S10 0.522 0.977 0.970
S11 0.729 0.228 0.222
S12 0.729 0.270 0.772
S13 0.769 0.728 0.270
S14 0.774 0.772 0.720
S15 0.979 0.520 0.979
S16 0.982 0.016 0.469

Output
Its total energy is -5.227 eV/atom. The value obtained for the total energy after the MP2020 corrections is -175.33 eV for the cell shown.



VASP calculation (PBE) on a geometry-optimized Sr2Sb3Pt3 structure.

Cell lengths 5.884, 5.884, 21.635 Å; angles 90.00, 90.00, 90.00 degrees
Fractional positions:
Sr1 0.000 0.000 0.241
Sr2 0.000 0.000 0.759
Sb1 0.000 0.000 0.000
Sb2 0.000 0.000 0.388
Sb3 0.000 0.000 0.612
Pt1 0.000 0.000 0.116
Pt2 0.000 0.000 0.500
Pt3 0.000 0.000 0.884

Output
Its total energy is -3.109 eV/atom.



VASP calculation (PBE) on a geometry-optimized LiEuS2 structure.

Cell lengths 3.998, 3.998, 5.475 Å; angles 90.00, 90.00, 90.00 degrees
Fractional positions:
Li1 0.000 0.000 0.000
Eu1 0.500 0.500 0.500
S1 0.000 0.000 0.500
S2 0.500 0.500 0.000

Output
Its total energy is -6.573 eV/atom. The value obtained for the total energy after the MP2020 corrections is -27.30 eV for the cell shown.



VASP calculation (PBE) on a geometry-optimized BaTi8O16 structure.

Cell lengths 5.975, 7.316, 7.449 Å; angles 89.42, 78.38, 78.16 degrees
Fractional positions:
Ba1 0.000 0.000 0.000
Ti1 0.056 0.504 0.185
Ti2 0.148 0.813 0.515
Ti3 0.317 0.179 0.469
Ti4 0.404 0.480 0.821
Ti5 0.556 0.518 0.180
Ti6 0.642 0.821 0.530
Ti7 0.810 0.186 0.489
Ti8 0.901 0.497 0.816
O1 0.002 0.304 0.618
O2 0.128 0.037 0.355
O3 0.141 0.643 0.722
O4 0.152 0.354 0.946
O5 0.301 0.643 0.056
O6 0.319 0.365 0.285
O7 0.325 0.962 0.644
O8 0.463 0.694 0.387
O9 0.495 0.306 0.614
O10 0.635 0.038 0.359
O11 0.639 0.635 0.716
O12 0.658 0.357 0.945
O13 0.809 0.645 0.055
O14 0.819 0.357 0.280
O15 0.832 0.963 0.646
O16 0.957 0.696 0.383

Output
Its total energy is -8.814 eV/atom. The value obtained for the total energy after the MP2020 corrections is -231.35 eV for the cell shown.



VASP calculation (PBE) on a geometry-optimized NaNbO3 structure.

Cell lengths 5.645, 5.567, 15.934 Å; angles 90.00, 90.00, 90.00 degrees
Fractional positions:
Na1 0.218 0.240 0.000
Na2 0.224 0.245 0.748
Na3 0.276 0.245 0.248
Na4 0.282 0.240 0.500
Na5 0.718 0.760 0.000
Na6 0.724 0.755 0.748
Na7 0.776 0.755 0.248
Na8 0.782 0.760 0.500
Nb1 0.229 0.748 0.874
Nb2 0.242 0.742 0.124
Nb3 0.258 0.742 0.624
Nb4 0.271 0.748 0.374
Nb5 0.729 0.252 0.874
Nb6 0.742 0.258 0.124
Nb7 0.758 0.258 0.624
Nb8 0.771 0.252 0.374
O1 0.015 0.031 0.615
O2 0.026 0.037 0.400
O3 0.046 0.466 0.149
O4 0.049 0.458 0.866
O5 0.225 0.681 0.507
O6 0.248 0.816 0.757
O7 0.252 0.816 0.257
O8 0.275 0.681 0.007
O9 0.451 0.458 0.366
O10 0.454 0.466 0.649
O11 0.474 0.037 0.900
O12 0.485 0.031 0.115
O13 0.515 0.969 0.615
O14 0.526 0.963 0.400
O15 0.546 0.534 0.149
O16 0.549 0.542 0.866
O17 0.725 0.319 0.507
O18 0.748 0.184 0.757
O19 0.752 0.184 0.257
O20 0.775 0.319 0.007
O21 0.951 0.542 0.366
O22 0.954 0.534 0.649
O23 0.974 0.963 0.900
O24 0.985 0.969 0.115

Output
Its total energy is -7.672 eV/atom. The value obtained for the total energy after the MP2020 corrections is -323.38 eV for the cell shown.